No. 1
Sc3Si3Ni (r²SCAN, relaxed); formation enthalpy at 0 K = -0.88 eV/atom
1.0
3.928 0.000 0.648
1.932 4.895 0.516
0.010 -0.019 12.173
Sc Si Ni
6 6 2
direct
0.600 0.721 0.079
0.474 0.673 0.379
0.743 0.740 0.773
0.526 0.327 0.621
0.400 0.279 0.921
0.257 0.260 0.227
0.959 0.844 0.237
0.866 0.722 0.545
0.134 0.278 0.455
0.118 0.840 0.924
0.041 0.156 0.763
0.882 0.160 0.076
0.244 0.916 0.595
0.756 0.084 0.405

***

No. 2
TmSi2Ru2 (r²SCAN, relaxed); formation enthalpy at 0 K = -0.96 eV/atom
1.0
0.184 3.899 -1.408
2.853 -1.141 -2.789
-4.936 -2.339 -1.006
Tm Si Ru
1 2 2
direct
0.000 0.000 0.000
0.369 0.369 0.738
0.631 0.631 0.262
0.750 0.250 0.500
0.250 0.750 0.500

***

No. 3
Na5H3C4O12 (r²SCAN, relaxed); formation enthalpy at 0 K = -1.67 eV/atom
1.0
-0.648 -1.519 2.977
-3.265 -7.623 -5.572
15.375 -1.189 1.058
Na H C O
10 6 8 24
direct
0.214 0.326 0.952
0.786 0.674 0.048
0.187 0.819 0.902
0.813 0.181 0.098
0.817 0.283 0.721
0.183 0.717 0.279
0.579 0.786 0.693
0.421 0.214 0.307
0.227 0.252 0.523
0.773 0.748 0.477
0.264 0.530 0.748
0.736 0.470 0.252
0.500 0.500 0.500
0.004 0.047 0.757
0.996 0.953 0.243
0.500 0.000 0.500
0.584 0.524 0.861
0.416 0.476 0.139
0.861 0.532 0.623
0.139 0.468 0.377
0.759 0.064 0.870
0.241 0.936 0.130
0.241 0.004 0.618
0.759 0.996 0.382
0.718 0.444 0.903
0.282 0.556 0.097
0.629 0.658 0.891
0.371 0.342 0.109
0.375 0.459 0.778
0.625 0.541 0.222
0.060 0.618 0.697
0.940 0.382 0.303
0.817 0.399 0.606
0.183 0.601 0.394
0.691 0.590 0.565
0.309 0.410 0.435
0.687 0.149 0.944
0.313 0.851 0.056
0.696 0.930 0.846
0.304 0.070 0.154
0.927 0.123 0.812
0.073 0.877 0.188
0.111 0.937 0.671
0.889 0.063 0.329
0.260 0.137 0.637
0.740 0.863 0.363
0.356 0.927 0.541
0.644 0.073 0.459

***

No. 4
Na3Ca (r²SCAN, relaxed); formation enthalpy at 0 K = 0.07 eV/atom
1.0
-1.045 7.294 -1.942
-4.055 -5.471 -3.418
-4.367 0.529 4.335
Na Ca
6 2
direct
0.163 0.325 0.250
0.675 0.837 0.250
0.163 0.837 0.250
0.837 0.675 0.750
0.325 0.163 0.750
0.837 0.163 0.750
0.333 0.667 0.750
0.667 0.333 0.250

***

No. 5
Er2Si5Rh3 (r²SCAN, relaxed); formation enthalpy at 0 K = -1.01 eV/atom
1.0
-6.948 3.619 2.013
1.281 5.785 -5.506
-1.593 -7.925 0.253
Er Si Rh
4 10 6
direct
0.637 0.868 0.769
0.363 0.132 0.231
0.099 0.368 0.731
0.901 0.632 0.269
0.278 0.028 0.750
0.722 0.972 0.250
0.722 0.471 0.750
0.278 0.529 0.250
0.448 0.606 0.843
0.552 0.394 0.157
0.763 0.106 0.658
0.237 0.894 0.342
0.000 0.750 0.750
0.000 0.250 0.250
0.251 0.640 0.610
0.749 0.360 0.390
0.030 0.140 0.890
0.970 0.860 0.110
0.500 0.750 0.250
0.500 0.250 0.750

***

No. 6
Gd (r²SCAN, relaxed); polymorph energy (0 for the lowest one) = 0 meV per atom; formation enthalpy at 0 K = 0.00 eV/atom
1.0
3.642 0.000 0.000
-1.821 3.154 0.000
0.000 0.000 5.902
Gd
2
direct
0.333 0.667 0.250
0.667 0.333 0.750

***

No. 7
Tl2SnSe3 (r²SCAN, relaxed); formation enthalpy at 0 K = -0.49 eV/atom
1.0
-6.754 0.539 4.572
-4.088 -4.808 -5.472
5.984 -17.497 10.902
Tl Sn Se
16 8 24
direct
0.675 0.986 0.667
0.825 0.486 0.167
0.175 0.514 0.667
0.675 0.986 0.833
0.325 0.014 0.333
0.175 0.514 0.833
0.825 0.486 0.333
0.325 0.014 0.167
0.269 0.950 0.493
0.769 0.550 0.007
0.231 0.450 0.507
0.731 0.050 0.993
0.731 0.050 0.507
0.231 0.450 0.993
0.769 0.550 0.493
0.269 0.950 0.007
0.175 0.009 0.666
0.675 0.491 0.666
0.325 0.509 0.166
0.825 0.991 0.334
0.825 0.991 0.166
0.325 0.509 0.334
0.675 0.491 0.834
0.175 0.009 0.834
0.014 0.835 0.908
0.514 0.665 0.592
0.486 0.335 0.092
0.986 0.165 0.408
0.986 0.165 0.092
0.486 0.335 0.408
0.514 0.665 0.908
0.014 0.835 0.592
0.128 0.681 0.394
0.628 0.819 0.106
0.372 0.181 0.606
0.872 0.319 0.894
0.872 0.319 0.606
0.372 0.181 0.894
0.628 0.819 0.394
0.334 0.841 0.750
0.009 0.164 0.750
0.509 0.336 0.750
0.491 0.664 0.250
0.991 0.836 0.250
0.666 0.159 0.250
0.166 0.341 0.250
0.834 0.659 0.750
0.128 0.681 0.106

***

No. 8
CaTiBi2O6 (r²SCAN, relaxed); formation enthalpy at 0 K = -1.90 eV/atom
1.0
0.000 4.058 4.058
4.058 0.000 4.058
4.058 4.058 0.000
Ca Ti Bi O
1 1 2 6
direct
0.000 0.000 0.000
0.500 0.500 0.500
0.250 0.250 0.250
0.750 0.750 0.750
0.736 0.264 0.264
0.264 0.736 0.736
0.264 0.736 0.264
0.736 0.264 0.736
0.264 0.264 0.736
0.736 0.736 0.264